Record 1
First-principles (PBE) data for crystalline SrCu2Sb2 at its relaxed geometry, as listed in Materials Project.

abc: 4.554 4.554 10.971
angles: 90.00 90.00 90.00
Element x y z (fractional)
1 Sr 0.250 0.250 0.237
2 Sr 0.750 0.750 0.763
3 Cu 0.250 0.250 0.636
4 Cu 0.250 0.750 0.000
5 Cu 0.750 0.250 0.000
6 Cu 0.750 0.750 0.364
7 Sb 0.250 0.250 0.870
8 Sb 0.250 0.750 0.500
9 Sb 0.750 0.250 0.500
10 Sb 0.750 0.750 0.130



Record 2
First-principles (PBE) data for crystalline Ca3AsCl3 at its relaxed geometry, as listed in Materials Project.

abc: 5.785 5.785 5.785
angles: 90.00 90.00 90.00
Element x y z (fractional)
1 Ca 0.000 0.000 0.500
2 Ca 0.000 0.500 0.000
3 Ca 0.500 0.000 0.000
4 As 0.000 0.000 0.000
5 Cl 0.000 0.500 0.500
6 Cl 0.500 0.000 0.500
7 Cl 0.500 0.500 0.000



Record 3
First-principles (PBE) data for crystalline HfNbN2 at its relaxed geometry, as listed in Materials Project.

abc: 5.520 5.520 5.520
angles: 33.47 33.47 33.47
Element x y z (fractional)
1 Hf 0.000 0.000 0.000
2 Nb 0.500 0.500 0.500
3 N 0.254 0.254 0.254
4 N 0.746 0.746 0.746



Number 1: calculated formation energy -515 meV per atom. Number 2: calculated formation energy -2264 meV per atom. Number 3: calculated formation energy -1533 meV per atom.